1.
VASP calculation (PBE) on a geometry-optimized NaLaSe2O10 structure.

The structure in POSCAR format:
```
NaLaSe2O10
1.0
11.481 0.000 0.000
0.000 7.279 0.000
-4.082 0.000 10.600
Na La Se O
4 4 8 40
direct
0.126 0.144 0.460 Na
0.126 0.356 0.960 Na
0.874 0.644 0.040 Na
0.874 0.856 0.540 Na
0.253 0.616 0.668 La
0.253 0.884 0.168 La
0.747 0.116 0.832 La
0.747 0.384 0.332 La
0.054 0.651 0.362 Se
0.054 0.849 0.862 Se
0.393 0.126 0.721 Se
0.393 0.374 0.221 Se
0.607 0.626 0.779 Se
0.607 0.874 0.279 Se
0.946 0.151 0.138 Se
0.946 0.349 0.638 Se
0.073 0.682 0.970 O
0.073 0.818 0.470 O
0.098 0.106 0.213 O
0.098 0.394 0.713 O
0.113 0.702 0.252 O
0.113 0.798 0.752 O
0.128 0.028 0.950 O
0.128 0.472 0.450 O
0.291 0.037 0.383 O
0.291 0.463 0.883 O
0.309 0.203 0.132 O
0.309 0.297 0.632 O
0.310 0.563 0.160 O
0.310 0.937 0.660 O
0.379 0.683 0.514 O
0.379 0.817 0.014 O
0.411 0.158 0.875 O
0.411 0.342 0.375 O
0.470 0.610 0.796 O
0.470 0.890 0.296 O
0.530 0.110 0.704 O
0.530 0.390 0.204 O
0.589 0.658 0.625 O
0.589 0.842 0.125 O
0.621 0.183 0.986 O
0.621 0.317 0.486 O
0.690 0.063 0.340 O
0.690 0.437 0.840 O
0.691 0.703 0.368 O
0.691 0.797 0.868 O
0.709 0.537 0.117 O
0.709 0.963 0.617 O
0.872 0.528 0.550 O
0.872 0.972 0.050 O
0.887 0.202 0.248 O
0.887 0.298 0.748 O
0.902 0.606 0.287 O
0.902 0.894 0.787 O
0.927 0.182 0.530 O
0.927 0.318 0.030 O
```

Values from the calculation:
- total magnetic moment (μB per cell) = 16.0
- E (eV per cell) = -303.37
- V (Å³/f.u.) = 221.45
- formation energy (eV/atom) = -1.43

2.
VASP calculation (PBE) on a geometry-optimized CoPt2 structure.

The structure in POSCAR format:
```
CoPt2
1.0
4.112 2.374 3.354
-4.112 2.374 3.354
0.000 -4.748 3.354
Co Pt
4 8
direct
0.000 0.000 0.000 Co
0.000 0.500 0.500 Co
0.500 0.000 0.500 Co
0.500 0.500 0.000 Co
0.130 0.869 0.629 Pt
0.131 0.371 0.870 Pt
0.370 0.370 0.370 Pt
0.371 0.870 0.131 Pt
0.629 0.130 0.869 Pt
0.630 0.630 0.630 Pt
0.869 0.629 0.130 Pt
0.870 0.131 0.371 Pt
```

Values from the calculation:
- total magnetic moment (μB per cell) = 11.4
- E (eV per cell) = -70.36
- V (Å³/f.u.) = 49.09
- formation energy (eV/atom) = 0.55

3.
VASP calculation (PBE) on a geometry-optimized Rb2CrBrCl3 structure.

The structure in POSCAR format:
```
Rb2CrBrCl3
1.0
7.243 0.000 0.000
0.000 3.621 8.283
0.000 -3.621 8.283
Rb Cr Br Cl
4 2 2 6
direct
0.000 0.000 0.000 Rb
0.000 0.276 0.276 Rb
0.500 0.500 0.500 Rb
0.500 0.776 0.776 Rb
0.000 0.643 0.643 Cr
0.500 0.143 0.143 Cr
0.000 0.484 0.484 Br
0.500 0.984 0.984 Br
0.000 0.791 0.791 Cl
0.240 0.883 0.400 Cl
0.260 0.383 0.900 Cl
0.500 0.291 0.291 Cl
0.740 0.900 0.383 Cl
0.760 0.400 0.883 Cl
```

Values from the calculation:
- total magnetic moment (μB per cell) = 8.0
- maximum piezoelectric response (C/m2) = 0.2
- E (eV per cell) = -58.56
- V (Å³/f.u.) = 217.22
- formation energy (eV/atom) = -1.76

4.
VASP calculation (PBE) on a geometry-optimized NaB6S4I6O8 structure.

The structure in POSCAR format:
```
NaB6S4I6O8
1.0
20.442 0.000 0.000
0.000 20.744 0.000
0.000 0.000 11.797
Na B S I O
8 48 32 48 64
direct
0.021 0.109 0.190 Na
0.021 0.391 0.190 Na
0.479 0.609 0.690 Na
0.479 0.891 0.690 Na
0.521 0.109 0.310 Na
0.521 0.391 0.310 Na
0.979 0.609 0.810 Na
0.979 0.891 0.810 Na
0.162 0.250 0.903 B
0.168 0.207 0.772 B
0.168 0.293 0.772 B
0.198 0.750 0.246 B
0.204 0.707 0.378 B
0.204 0.793 0.378 B
0.213 0.180 0.893 B
0.213 0.320 0.893 B
0.223 0.250 0.681 B
0.241 0.250 0.968 B
0.249 0.680 0.256 B
0.249 0.820 0.256 B
0.251 0.180 0.756 B
0.251 0.320 0.756 B
0.259 0.750 0.468 B
0.277 0.750 0.181 B
0.287 0.680 0.393 B
0.287 0.820 0.393 B
0.296 0.207 0.878 B
0.296 0.293 0.878 B
0.302 0.250 0.746 B
0.332 0.707 0.272 B
0.332 0.793 0.272 B
0.338 0.750 0.403 B
0.662 0.250 0.597 B
0.668 0.207 0.728 B
0.668 0.293 0.728 B
0.698 0.750 0.254 B
0.704 0.707 0.122 B
0.704 0.793 0.122 B
0.713 0.180 0.607 B
0.713 0.320 0.607 B
0.723 0.250 0.819 B
0.741 0.250 0.532 B
0.749 0.680 0.244 B
0.749 0.820 0.244 B
0.751 0.180 0.744 B
0.751 0.320 0.744 B
0.759 0.750 0.032 B
0.777 0.750 0.319 B
0.787 0.680 0.107 B
0.787 0.820 0.107 B
0.796 0.207 0.622 B
0.796 0.293 0.622 B
0.802 0.250 0.754 B
0.832 0.707 0.228 B
0.832 0.793 0.228 B
0.838 0.750 0.097 B
0.031 0.250 0.422 S
0.044 0.575 0.124 S
0.044 0.925 0.124 S
0.110 0.750 0.849 S
0.143 0.547 0.709 S
0.143 0.953 0.709 S
0.158 0.060 0.382 S
0.158 0.440 0.382 S
0.342 0.560 0.882 S
0.342 0.940 0.882 S
0.357 0.047 0.209 S
0.357 0.453 0.209 S
0.390 0.250 0.349 S
0.456 0.075 0.624 S
0.456 0.425 0.624 S
0.469 0.750 0.922 S
0.531 0.250 0.078 S
0.544 0.575 0.376 S
0.544 0.925 0.376 S
0.610 0.750 0.651 S
0.643 0.547 0.791 S
0.643 0.953 0.791 S
0.658 0.060 0.118 S
0.658 0.440 0.118 S
0.842 0.560 0.618 S
0.842 0.940 0.618 S
0.857 0.047 0.291 S
0.857 0.453 0.291 S
0.890 0.250 0.151 S
0.956 0.075 0.876 S
0.956 0.425 0.876 S
0.969 0.750 0.578 S
0.074 0.250 0.006 I
0.087 0.151 0.702 I
0.087 0.349 0.702 I
0.106 0.750 0.151 I
0.122 0.652 0.444 I
0.122 0.848 0.444 I
0.189 0.090 0.978 I
0.189 0.410 0.978 I
0.211 0.250 0.497 I
0.225 0.591 0.166 I
0.225 0.909 0.166 I
0.249 0.750 0.652 I
0.251 0.250 0.152 I
0.275 0.091 0.666 I
0.275 0.409 0.666 I
0.289 0.750 0.997 I
0.311 0.590 0.478 I
0.311 0.910 0.478 I
0.378 0.152 0.944 I
0.378 0.348 0.944 I
0.394 0.250 0.651 I
0.413 0.651 0.202 I
0.413 0.849 0.202 I
0.426 0.750 0.506 I
0.574 0.250 0.494 I
0.587 0.151 0.798 I
0.587 0.349 0.798 I
0.606 0.750 0.349 I
0.622 0.652 0.056 I
0.622 0.848 0.056 I
0.689 0.090 0.522 I
0.689 0.410 0.522 I
0.711 0.250 0.003 I
0.725 0.591 0.334 I
0.725 0.909 0.334 I
0.749 0.750 0.848 I
0.751 0.250 0.348 I
0.775 0.091 0.834 I
0.775 0.409 0.834 I
0.789 0.750 0.503 I
0.811 0.590 0.022 I
0.811 0.910 0.022 I
0.878 0.152 0.556 I
0.878 0.348 0.556 I
0.894 0.250 0.849 I
0.913 0.651 0.298 I
0.913 0.849 0.298 I
0.926 0.750 0.994 I
0.026 0.585 0.005 O
0.026 0.915 0.005 O
0.031 0.190 0.357 O
0.031 0.310 0.357 O
0.047 0.509 0.162 O
0.047 0.991 0.162 O
0.072 0.554 0.723 O
0.072 0.946 0.723 O
0.073 0.690 0.833 O
0.073 0.810 0.833 O
0.112 0.030 0.458 O
0.112 0.470 0.458 O
0.132 0.093 0.283 O
0.132 0.407 0.283 O
0.184 0.577 0.795 O
0.184 0.923 0.795 O
0.316 0.077 0.295 O
0.316 0.423 0.295 O
0.368 0.593 0.783 O
0.368 0.907 0.783 O
0.388 0.530 0.958 O
0.388 0.970 0.958 O
0.427 0.190 0.333 O
0.427 0.310 0.333 O
0.428 0.054 0.223 O
0.428 0.446 0.223 O
0.453 0.009 0.662 O
0.453 0.491 0.662 O
0.469 0.690 0.857 O
0.469 0.810 0.857 O
0.474 0.085 0.505 O
0.474 0.415 0.505 O
0.526 0.585 0.495 O
0.526 0.915 0.495 O
0.531 0.190 0.143 O
0.531 0.310 0.143 O
0.547 0.509 0.338 O
0.547 0.991 0.338 O
0.572 0.554 0.777 O
0.572 0.946 0.777 O
0.573 0.690 0.667 O
0.573 0.810 0.667 O
0.612 0.030 0.042 O
0.612 0.470 0.042 O
0.632 0.093 0.217 O
0.632 0.407 0.217 O
0.684 0.577 0.705 O
0.684 0.923 0.705 O
0.816 0.077 0.205 O
0.816 0.423 0.205 O
0.868 0.593 0.717 O
0.868 0.907 0.717 O
0.888 0.530 0.542 O
0.888 0.970 0.542 O
0.927 0.190 0.167 O
0.927 0.310 0.167 O
0.928 0.054 0.277 O
0.928 0.446 0.277 O
0.953 0.009 0.838 O
0.953 0.491 0.838 O
0.969 0.690 0.643 O
0.969 0.810 0.643 O
0.974 0.085 0.995 O
0.974 0.415 0.995 O
```

Values from the calculation:
- total magnetic moment (μB per cell) = 0.0
- E (eV per cell) = -997.86
- V (Å³/f.u.) = 625.29
- formation energy (eV/atom) = -0.94